Entry 1:
Li4V3OF11: optimized geometry, PBE with a Hubbard U.

Values from the calculation:
**Polymorph energy (0 for the lowest one)**: 0.62 eV/f.u.

Structure (POSCAR):
```
Li4V3OF11
1.0
-5.303 0.000 0.000
0.070 5.510 0.000
-0.033 -2.609 -15.963
F V Li O
22 6 8 2
direct
0.661 0.185 0.984
0.297 0.144 0.701
0.581 0.202 0.453
0.375 0.153 0.216
0.405 0.449 0.884
0.908 0.398 0.782
0.323 0.488 0.355
0.691 0.836 0.294
0.328 0.827 0.032
0.131 0.645 0.218
0.919 0.714 0.452
0.802 0.020 0.647
0.703 0.521 0.632
0.084 0.968 0.886
0.172 0.345 0.035
0.578 0.877 0.785
0.196 0.975 0.358
0.092 0.271 0.551
0.812 0.681 0.965
0.198 0.646 0.687
0.613 0.517 0.116
0.424 0.788 0.548
0.495 0.507 0.998
0.500 0.833 0.666
0.520 0.171 0.334
0.989 0.641 0.333
0.992 0.015 0.008
0.000 0.333 0.666
0.482 0.551 0.233
0.684 0.521 0.508
0.835 0.712 0.840
0.540 0.078 0.110
0.315 0.134 0.824
0.958 0.641 0.116
0.012 0.093 0.225
0.203 0.976 0.487
0.805 0.346 0.303
0.887 0.989 0.114
```

---

Entry 2:
KGdW2O8: optimized geometry, PBE with a Hubbard U.

Structure (POSCAR):
```
KGdW2O8
1.0
-1.839 -6.635 -3.400
1.133 -3.879 6.529
-5.784 -3.855 2.801
O K W Gd
16 2 4 2
direct
0.871 0.091 0.969
0.439 0.128 0.127
0.129 0.909 0.031
0.747 0.876 0.444
0.091 0.871 0.469
0.909 0.129 0.531
0.128 0.439 0.627
0.543 0.721 0.314
0.253 0.124 0.556
0.561 0.872 0.873
0.124 0.253 0.056
0.876 0.747 0.944
0.279 0.457 0.186
0.457 0.279 0.686
0.721 0.543 0.814
0.872 0.561 0.373
0.708 0.292 0.250
0.292 0.708 0.750
0.191 0.200 0.781
0.200 0.191 0.281
0.809 0.800 0.219
0.800 0.809 0.719
0.275 0.725 0.250
0.725 0.275 0.750
```

---

Entry 3:
CaFe2Cu3Sb2O12: optimized geometry, PBE with a Hubbard U.

Structure (POSCAR):
```
CaFe2Cu3Sb2O12
1.0
-5.851 1.467 4.624
4.340 -1.656 6.017
2.169 7.272 0.437
O Fe Sb Ca Cu
24 4 4 2 6
direct
0.695 0.002 0.825
0.175 0.305 0.002
0.195 0.498 0.325
0.305 0.002 0.175
0.002 0.825 0.695
0.175 0.695 0.998
0.675 0.195 0.502
0.805 0.502 0.325
0.195 0.502 0.675
0.825 0.305 0.998
0.002 0.175 0.305
0.325 0.195 0.498
0.305 0.998 0.825
0.998 0.825 0.305
0.998 0.175 0.695
0.502 0.325 0.805
0.825 0.695 0.002
0.325 0.805 0.502
0.502 0.675 0.195
0.695 0.998 0.175
0.805 0.498 0.675
0.675 0.805 0.498
0.498 0.675 0.805
0.498 0.325 0.195
0.750 0.250 0.250
0.750 0.750 0.750
0.250 0.750 0.250
0.250 0.250 0.750
0.250 0.750 0.750
0.750 0.250 0.750
0.250 0.250 0.250
0.750 0.750 0.250
0.500 0.500 0.500
0.000 0.000 0.000
0.000 0.500 0.000
0.500 0.000 0.500
0.500 0.000 0.000
0.000 0.000 0.500
0.500 0.500 0.000
0.000 0.500 0.500
```

---

Entry 4:
Li4MnV3P8O28: optimized geometry, PBE with a Hubbard U.

Values from the calculation:
**Polymorph energy (0 for the lowest one)**: 0.35 eV/f.u.

Structure (POSCAR):
```
Li4MnV3P8O28
1.0
8.409 0.000 0.000
0.000 4.980 0.000
0.000 0.639 26.776
O P Li Mn V
56 16 8 2 6
direct
0.537 0.052 0.880
0.931 0.358 0.522
0.817 0.381 0.785
0.177 0.401 0.599
0.330 0.118 0.964
0.198 0.808 0.528
0.676 0.097 0.651
0.169 0.408 0.099
0.695 0.193 0.972
0.427 0.153 0.231
0.683 0.104 0.151
0.176 0.903 0.349
0.317 0.619 0.215
0.542 0.055 0.379
0.041 0.446 0.371
0.183 0.896 0.849
0.654 0.280 0.562
0.343 0.997 0.627
0.654 0.275 0.062
0.154 0.725 0.938
0.540 0.546 0.128
0.840 0.998 0.877
0.189 0.307 0.278
0.541 0.554 0.629
0.935 0.856 0.273
0.827 0.882 0.537
0.042 0.945 0.621
0.830 0.882 0.036
0.677 0.599 0.401
0.656 0.778 0.312
0.330 0.619 0.711
0.340 0.002 0.123
0.208 0.318 0.778
0.843 0.003 0.373
0.435 0.144 0.727
0.430 0.641 0.979
0.927 0.847 0.769
0.669 0.592 0.901
0.708 0.682 0.222
0.843 0.503 0.623
0.037 0.948 0.120
0.040 0.454 0.872
0.155 0.217 0.187
0.930 0.359 0.021
0.698 0.192 0.472
0.830 0.381 0.289
0.342 0.491 0.879
0.195 0.807 0.028
0.655 0.783 0.813
0.154 0.720 0.438
0.842 0.509 0.121
0.156 0.222 0.688
0.327 0.118 0.463
0.689 0.693 0.722
0.431 0.642 0.478
0.343 0.497 0.377
0.790 0.668 0.272
0.290 0.332 0.728
0.181 0.139 0.631
0.179 0.640 0.881
0.285 0.829 0.478
0.785 0.171 0.522
0.681 0.861 0.369
0.784 0.172 0.022
0.781 0.668 0.771
0.679 0.360 0.119
0.179 0.139 0.129
0.281 0.332 0.229
0.284 0.828 0.978
0.181 0.639 0.380
0.681 0.361 0.620
0.679 0.861 0.871
0.362 0.662 0.083
0.360 0.660 0.582
0.858 0.842 0.168
0.862 0.338 0.917
0.363 0.160 0.330
0.358 0.158 0.832
0.860 0.340 0.418
0.863 0.840 0.670
0.000 0.149 0.816
0.500 0.851 0.184
0.000 0.649 0.568
0.500 0.351 0.432
0.997 0.650 0.068
0.500 0.851 0.682
0.497 0.350 0.932
0.000 0.149 0.318
```

---

Entry 5:
Mn3O4: optimized geometry, PBE with a Hubbard U.

Structure (POSCAR):
```
Mn3O4
1.0
3.716 -1.885 4.135
-5.387 2.757 1.916
-0.362 -5.450 -2.159
Mn O
6 8
direct
0.626 0.751 0.376
0.000 0.500 0.500
0.000 0.000 0.000
0.374 0.249 0.624
0.500 0.000 0.000
0.000 0.500 0.000
0.771 0.484 0.242
0.241 0.984 0.769
0.759 0.016 0.231
0.229 0.516 0.758
0.241 0.984 0.214
0.759 0.016 0.786
0.214 0.483 0.241
0.786 0.517 0.759
```

---

Entry 6:
LiVF4: optimized geometry, PBE with a Hubbard U.

Values from the calculation:
**Polymorph energy (0 for the lowest one)**: 0.42 eV/f.u.

Structure (POSCAR):
```
LiVF4
1.0
3.131 0.000 0.000
0.000 4.942 0.000
0.000 2.090 5.026
Li F V
1 4 1
direct
0.500 0.000 0.500
0.000 0.808 0.752
0.500 0.774 0.220
0.000 0.192 0.248
0.500 0.226 0.780
0.000 0.000 0.000
```

---

Entry 7:
Li7Mn5O12: optimized geometry, PBE with a Hubbard U.

Values from the calculation:
**Polymorph energy (0 for the lowest one)**: 0.77 eV/f.u.

Structure (POSCAR):
```
Li7Mn5O12
1.0
3.247 -3.924 0.182
4.503 -1.758 1.613
-5.010 -6.187 13.756
O Li Mn
12 7 5
direct
0.620 0.620 0.199
0.104 0.104 0.714
0.882 0.882 0.948
0.896 0.896 0.286
0.118 0.118 0.052
0.880 0.880 0.633
0.616 0.616 0.537
0.120 0.120 0.367
0.384 0.384 0.463
0.607 0.607 0.872
0.393 0.393 0.128
0.380 0.380 0.801
0.250 0.250 0.583
0.259 0.259 0.241
0.250 0.250 0.923
0.500 0.500 0.000
0.741 0.741 0.759
0.750 0.750 0.077
0.750 0.750 0.417
0.000 0.000 0.500
0.013 0.013 0.154
0.493 0.493 0.673
0.507 0.507 0.327
0.987 0.987 0.846
```

---

Entry 8:
La7SmTi3V5O24: optimized geometry, PBE with a Hubbard U.

Structure (POSCAR):
```
La7SmTi3V5O24
1.0
5.586 5.613 0.000
-5.586 5.613 0.000
0.000 0.012 7.913
O La Ti V Sm
24 7 3 5 1
direct
0.002 0.498 0.755
0.500 0.755 0.000
0.245 0.498 0.998
0.001 0.746 0.500
0.751 0.501 0.500
0.250 0.002 0.999
0.501 0.751 0.500
0.002 0.254 0.503
0.002 0.250 0.999
0.498 0.245 0.998
0.750 0.001 0.999
0.001 0.750 0.999
0.254 0.002 0.503
0.498 0.002 0.755
0.497 0.497 0.746
0.500 0.000 0.245
0.000 0.500 0.245
0.249 0.496 0.503
0.496 0.249 0.503
0.500 0.500 0.254
0.746 0.001 0.500
0.002 0.002 0.756
0.755 0.500 0.000
0.000 0.000 0.243
0.748 0.252 0.746
0.749 0.749 0.746
0.748 0.748 0.254
0.251 0.251 0.254
0.252 0.748 0.254
0.748 0.252 0.254
0.252 0.748 0.746
0.001 0.499 0.999
0.001 0.001 0.999
0.499 0.001 0.999
0.000 0.000 0.500
0.500 0.000 0.500
0.500 0.500 0.000
0.000 0.500 0.500
0.500 0.500 0.501
0.253 0.253 0.744
```

---

Entry 9:
Cr2FeO4: optimized geometry, PBE with a Hubbard U.

Values from the calculation:
**Polymorph energy (0 for the lowest one)**: 0.00 eV/f.u.

Structure (POSCAR):
```
Cr2FeO4
1.0
5.564 -0.024 2.331
1.083 -5.084 -2.981
4.757 -0.304 -3.710
O Fe Cr
8 2 4
direct
0.768 0.740 0.973
0.213 0.740 0.528
0.240 0.711 0.029
0.787 0.260 0.472
0.760 0.289 0.971
0.241 0.270 0.471
0.232 0.260 0.027
0.759 0.730 0.529
0.375 0.125 0.750
0.625 0.875 0.250
0.000 0.500 0.000
0.500 0.500 0.000
0.000 0.000 0.500
0.000 0.500 0.500
```

---

Entry 10:
CsVP3HO10: optimized geometry, PBE with a Hubbard U.

Structure (POSCAR):
```
CsVP3HO10
1.0
0.001 -8.871 0.000
-0.004 0.000 -9.217
11.499 -0.001 -4.409
O P Cs V H
40 12 4 4 4
direct
0.787 0.608 0.572
0.935 0.897 0.214
0.318 0.398 0.823
0.787 0.892 0.429
0.713 0.392 0.928
0.713 0.108 0.071
0.182 0.898 0.323
0.682 0.602 0.178
0.014 0.197 0.418
0.486 0.803 0.082
0.435 0.897 0.714
0.014 0.303 0.582
0.435 0.603 0.286
0.818 0.398 0.322
0.122 0.816 0.758
0.514 0.197 0.918
0.565 0.103 0.286
0.986 0.803 0.582
0.287 0.891 0.928
0.878 0.316 0.758
0.486 0.697 0.918
0.287 0.608 0.072
0.878 0.184 0.242
0.378 0.316 0.258
0.213 0.391 0.428
0.622 0.816 0.258
0.565 0.397 0.714
0.182 0.602 0.677
0.986 0.697 0.418
0.378 0.184 0.742
0.622 0.684 0.742
0.682 0.898 0.823
0.065 0.103 0.786
0.935 0.603 0.786
0.122 0.684 0.242
0.318 0.102 0.177
0.818 0.102 0.677
0.213 0.108 0.572
0.514 0.303 0.082
0.065 0.397 0.214
0.624 0.250 0.000
0.440 0.200 0.207
0.940 0.200 0.707
0.376 0.750 0.000
0.440 0.300 0.793
0.124 0.250 0.500
0.560 0.700 0.207
0.876 0.750 0.500
0.060 0.700 0.707
0.060 0.800 0.293
0.560 0.800 0.793
0.940 0.300 0.293
0.064 0.250 0.000
0.436 0.750 0.500
0.564 0.250 0.500
0.936 0.750 0.000
0.750 0.000 0.250
0.750 0.500 0.750
0.250 0.000 0.750
0.250 0.500 0.250
0.750 0.500 0.250
0.250 0.000 0.250
0.250 0.500 0.750
0.750 0.000 0.750
```

---

Entry 11:
BaFeO2F: optimized geometry, PBE with a Hubbard U.

Structure (POSCAR):
```
BaFeO2F
1.0
4.054 0.000 0.000
0.000 4.054 0.000
0.000 0.000 4.218
O Ba Fe F
2 1 1 1
direct
0.000 0.500 0.500
0.500 0.000 0.500
0.000 0.000 0.000
0.500 0.500 0.500
0.500 0.500 0.000
```

---

no.,ΔE_f (eV/atom),calculated density (g cm⁻³)
1,-3.092,2.89
2,-2.663,6.83
3,-1.722,5.88
4,-2.685,2.76
5,-2.050,4.59
6,-3.149,2.86
7,-2.125,3.85
8,-3.319,6.38
9,-2.180,4.77
10,-2.593,3.09
11,-2.582,5.85